The following is a DFT calculation (PBE) of an optimized crystal structure of Dy2S3.

POSCAR file:
```
Dy2S3
1.0
7.311 0.000 0.000
0.000 3.889 0.000
0.000 0.000 15.200
Dy S
8 12
Direct
0.141 0.250 0.205 Dy
0.234 0.750 0.457 Dy
0.266 0.250 0.957 Dy
0.359 0.750 0.705 Dy
0.641 0.250 0.295 Dy
0.734 0.750 0.043 Dy
0.766 0.250 0.543 Dy
0.859 0.750 0.795 Dy
0.010 0.250 0.392 S
0.123 0.750 0.068 S
0.150 0.250 0.782 S
0.350 0.750 0.282 S
0.377 0.250 0.568 S
0.490 0.750 0.892 S
0.510 0.250 0.108 S
0.623 0.750 0.432 S
0.650 0.250 0.718 S
0.850 0.750 0.218 S
0.877 0.250 0.932 S
0.990 0.750 0.608 S
```

Results
ρ ... 6474 kg/m³
Formation energy ... -2364 meV/atom
VASP energy ... -31.94 eV per formula unit



The following is a DFT calculation (PBE) of an optimized crystal structure of Dy3S4.

POSCAR file:
```
Dy3S4
1.0
-4.153 4.153 4.153
4.153 -4.153 4.153
4.153 4.153 -4.153
Dy S
6 8
Direct
0.125 0.875 0.250 Dy
0.250 0.125 0.875 Dy
0.375 0.625 0.750 Dy
0.625 0.750 0.375 Dy
0.750 0.375 0.625 Dy
0.875 0.250 0.125 Dy
0.000 0.143 0.500 S
0.000 0.643 0.500 S
0.143 0.500 0.000 S
0.357 0.357 0.357 S
0.500 0.000 0.143 S
0.500 0.000 0.643 S
0.643 0.500 0.000 S
0.857 0.857 0.857 S
```

Results
ρ ... 7137 kg/m³
Formation energy ... -2271 meV/atom
M_tot ... 0.000 μB/atom
VASP energy ... -44.25 eV per formula unit